# 1
This record from Materials Project describes a relaxed structure of Na9Ta5ZnSi9O36. The functional is PBE-GGA.

## Properties
- ΔE_f (eV per atom) = -3.0008

Cell lengths 15.7768, 27.1679, 9.0600 Å; angles 89.77, 125.06, 90.19 degrees
Last column: nearest neighbours and their distance in Å.
Element x y z (fractional)
Na: 0.2564 0.2539 0.0179  4 O 2.30-2.55
Na: 0.2599 0.5888 0.0214  4 O 2.29-2.53
Na: 0.2472 0.9147 0.9978  6 O 2.44-2.59
Na: 0.7482 0.2557 0.5028  6 O 2.43-2.65
Na: 0.7423 0.5771 0.4972  5 O 2.35-2.59
Na: 0.7516 0.9145 0.5067  6 O 2.45-2.53
Na: 0.7599 0.0888 0.0214  4 O 2.29-2.53
Na: 0.7472 0.4147 0.9978  6 O 2.44-2.59
Na: 0.7564 0.7539 0.0179  4 O 2.30-2.55
Na: 0.2423 0.0771 0.4972  5 O 2.35-2.59
Na: 0.2516 0.4145 0.5067  6 O 2.45-2.53
Na: 0.2482 0.7557 0.5028  6 O 2.43-2.65
Na: 0.5028 0.0364 0.7553  6 O 2.41-2.65
Na: 0.4885 0.3617 0.7196  5 O 2.42-2.69
Na: 0.4887 0.6966 0.7253  6 O 2.49-2.77
Na: 0.4982 0.2904 0.2671  4 O 2.27-2.54
Na: 0.4984 0.6256 0.2723  4 O 2.30-2.53
Na: 0.4989 0.9652 0.2520  6 O 2.42-2.71
Na: 0.9887 0.1966 0.7253  6 O 2.49-2.77
Na: 0.0028 0.5364 0.7553  6 O 2.41-2.65
Na: 0.9885 0.8617 0.7196  5 O 2.42-2.69
Na: 0.9984 0.1256 0.2723  4 O 2.30-2.53
Na: 0.9989 0.4652 0.2520  6 O 2.42-2.71
Na: 0.9982 0.7904 0.2671  4 O 2.27-2.54
Na: 0.8100 0.6529 0.2412  4 O 2.33-2.54
Na: 0.8186 0.9853 0.2495  4 O 2.33-2.58
Na: 0.2054 0.3066 0.2911  3 O 2.31-2.43
Na: 0.2080 0.6433 0.2864  5 O 2.31-2.58
Na: 0.8167 0.0259 0.6842  4 O 2.42-2.53
Na: 0.8133 0.6919 0.6808  5 O 2.41-2.70
Na: 0.3100 0.1529 0.2412  4 O 2.33-2.54
Na: 0.3186 0.4853 0.2495  4 O 2.33-2.58
Na: 0.7080 0.1433 0.2864  5 O 2.31-2.58
Na: 0.7054 0.8066 0.2911  3 O 2.31-2.43
Na: 0.3133 0.1919 0.6808  5 O 2.41-2.70
Na: 0.3167 0.5259 0.6842  4 O 2.42-2.53
Ta: 0.1073 0.2504 0.5745  6 O 1.96-2.03
Ta: 0.1080 0.5845 0.5723  6 O 1.91-2.05
Ta: 0.1081 0.9172 0.5703  6 O 1.94-2.04
Ta: 0.8901 0.2519 0.9324  6 O 1.91-2.07
Ta: 0.8934 0.5820 0.9330  6 O 1.92-2.06
Ta: 0.8968 0.9175 0.9356  6 O 1.92-2.07
Ta: 0.8918 0.4152 0.4319  6 O 1.92-2.06
Ta: 0.1026 0.0814 0.0595  6 O 1.92-2.09
Ta: 0.1060 0.4155 0.0681  6 O 1.94-2.05
Ta: 0.1074 0.7505 0.0619  6 O 1.92-2.09
Ta: 0.6080 0.0845 0.5723  6 O 1.91-2.05
Ta: 0.6081 0.4172 0.5703  6 O 1.94-2.04
Ta: 0.6073 0.7504 0.5745  6 O 1.96-2.03
Ta: 0.3934 0.0820 0.9330  6 O 1.92-2.06
Ta: 0.3968 0.4175 0.9356  6 O 1.92-2.07
Ta: 0.3901 0.7519 0.9324  6 O 1.91-2.07
Ta: 0.3918 0.9152 0.4319  6 O 1.92-2.06
Ta: 0.6074 0.2505 0.0619  6 O 1.92-2.09
Ta: 0.6026 0.5814 0.0595  6 O 1.92-2.09
Ta: 0.6060 0.9155 0.0681  6 O 1.94-2.05
Zn: 0.9030 0.0827 0.4459  5 O 2.02-2.25
Zn: 0.9018 0.7489 0.4461  4 O 2.01-2.24
Zn: 0.4018 0.2489 0.4461  4 O 2.01-2.24
Zn: 0.4030 0.5827 0.4459  5 O 2.02-2.25
Si: 0.0007 0.3194 0.7518  4 O 1.63-1.66
Si: 0.0009 0.6529 0.7454  4 O 1.60-1.67
Si: 0.9984 0.9855 0.7369  4 O 1.60-1.67
Si: 0.0029 0.0138 0.2484  4 O 1.61-1.65
Si: 0.0008 0.3463 0.2518  4 O 1.62-1.66
Si: 0.0025 0.6796 0.2477  4 O 1.60-1.67
Si: 0.5009 0.1529 0.7454  4 O 1.60-1.67
Si: 0.4984 0.4855 0.7369  4 O 1.60-1.67
Si: 0.5007 0.8194 0.7518  4 O 1.63-1.66
Si: 0.5025 0.1796 0.2477  4 O 1.60-1.67
Si: 0.5029 0.5138 0.2484  4 O 1.61-1.65
Si: 0.5008 0.8463 0.2518  4 O 1.62-1.66
Si: 0.3544 0.2980 0.7535  4 O 1.61-1.66
Si: 0.3522 0.6321 0.7490  4 O 1.60-1.67
Si: 0.3552 0.9635 0.7533  4 O 1.62-1.66
Si: 0.6426 0.2980 0.7348  4 O 1.59-1.68
Si: 0.6459 0.6307 0.7438  4 O 1.59-1.67
Si: 0.6456 0.9635 0.7450  4 O 1.63-1.66
Si: 0.6437 0.0339 0.2456  4 O 1.60-1.67
Si: 0.6432 0.3683 0.2473  4 O 1.64-1.65
Si: 0.6397 0.7009 0.2416  4 O 1.61-1.68
Si: 0.3543 0.0359 0.2553  4 O 1.63-1.65
Si: 0.3560 0.3698 0.2553  4 O 1.60-1.67
Si: 0.3549 0.7045 0.2562  4 O 1.60-1.66
Si: 0.8522 0.1321 0.7490  4 O 1.60-1.67
Si: 0.8552 0.4635 0.7533  4 O 1.62-1.66
Si: 0.8544 0.7980 0.7535  4 O 1.61-1.66
Si: 0.1459 0.1307 0.7438  4 O 1.59-1.67
Si: 0.1456 0.4635 0.7450  4 O 1.63-1.66
Si: 0.1426 0.7980 0.7348  4 O 1.59-1.68
Si: 0.1397 0.2009 0.2416  4 O 1.61-1.68
Si: 0.1437 0.5339 0.2456  4 O 1.60-1.67
Si: 0.1432 0.8683 0.2473  4 O 1.64-1.65
Si: 0.8549 0.2045 0.2562  4 O 1.60-1.66
Si: 0.8543 0.5359 0.2553  4 O 1.63-1.65
Si: 0.8560 0.8698 0.2553  4 O 1.60-1.67
O: 0.1524 0.1920 0.7432  1 Si 1.67
O: 0.1471 0.5239 0.7356  1 Si 1.64
O: 0.1486 0.8591 0.7414  1 Si 1.66
O: 0.8464 0.1915 0.7717  1 Si 1.64
O: 0.8490 0.5238 0.7579  1 Si 1.64
O: 0.8488 0.8577 0.7761  1 Si 1.64
O: 0.8443 0.1457 0.2481  1 Si 1.60
O: 0.8510 0.4756 0.2649  1 Si 1.64
O: 0.8420 0.8113 0.2436  1 Si 1.60
O: 0.1440 0.1402 0.2361  1 Si 1.65
O: 0.1504 0.4727 0.2459  1 Si 1.66
O: 0.1449 0.8081 0.2351  1 Si 1.64
O: 0.6471 0.0239 0.7356  1 Si 1.64
O: 0.6486 0.3591 0.7414  1 Si 1.66
O: 0.6524 0.6920 0.7432  1 Si 1.67
O: 0.3490 0.0238 0.7579  1 Si 1.64
O: 0.3488 0.3577 0.7761  1 Si 1.64
O: 0.3464 0.6915 0.7717  1 Si 1.64
O: 0.3420 0.3113 0.2436  1 Si 1.60
O: 0.3443 0.6457 0.2481  1 Si 1.60
O: 0.3510 0.9756 0.2649  1 Si 1.64
O: 0.6449 0.3081 0.2351  1 Si 1.64
O: 0.6440 0.6402 0.2361  1 Si 1.65
O: 0.6504 0.9727 0.2459  1 Si 1.66
O: 0.4177 0.1821 0.5645  1 Si 1.60
O: 0.4164 0.5149 0.5551  1 Si 1.60
O: 0.4351 0.8566 0.5780  1 Si 1.64
O: 0.5683 0.1891 0.9237  1 Si 1.66
O: 0.5626 0.5239 0.9113  1 Si 1.67
O: 0.5686 0.8550 0.9315  1 Si 1.66
O: 0.5701 0.1421 0.4249  1 Si 1.67
O: 0.5666 0.4763 0.4242  1 Si 1.65
O: 0.5699 0.8096 0.4258  1 Si 1.64
O: 0.4435 0.1405 0.0777  1 Si 1.65
O: 0.4418 0.4781 0.0692  1 Si 1.65
O: 0.4363 0.8131 0.0711  1 Si 1.62
O: 0.9164 0.0149 0.5551  1 Si 1.60
O: 0.9351 0.3566 0.5780  1 Si 1.64
O: 0.9177 0.6821 0.5645  1 Si 1.60
O: 0.0626 0.0239 0.9113  1 Si 1.67
O: 0.0686 0.3550 0.9315  1 Si 1.66
O: 0.0683 0.6891 0.9237  1 Si 1.66
O: 0.0699 0.3096 0.4258  1 Si 1.64
O: 0.0701 0.6421 0.4249  1 Si 1.67
O: 0.0666 0.9763 0.4242  1 Si 1.65
O: 0.9363 0.3131 0.0711  1 Si 1.62
O: 0.9435 0.6405 0.0777  1 Si 1.65
O: 0.9418 0.9781 0.0692  1 Si 1.65
O: 0.2583 0.2699 0.7426  1 Si 1.65
O: 0.2580 0.6024 0.7430  1 Si 1.66
O: 0.2573 0.9379 0.7371  1 Si 1.62
O: 0.7477 0.2763 0.7634  1 Si 1.64
O: 0.7522 0.6107 0.7678  1 Si 1.66
O: 0.7468 0.9431 0.7579  1 Si 1.63
O: 0.7315 0.0595 0.2358  1 Si 1.60
O: 0.7453 0.3929 0.2690  1 Si 1.65
O: 0.7321 0.7260 0.2414  1 Si 1.61
O: 0.2581 0.0641 0.2385  1 Si 1.63
O: 0.2573 0.3969 0.2432  1 Si 1.67
O: 0.2560 0.7304 0.2428  1 Si 1.65
O: 0.7580 0.1024 0.7430  1 Si 1.66
O: 0.7573 0.4379 0.7371  1 Si 1.62
O: 0.7583 0.7699 0.7426  1 Si 1.65
O: 0.2522 0.1107 0.7678  1 Si 1.66
O: 0.2468 0.4431 0.7579  1 Si 1.63
O: 0.2477 0.7763 0.7634  1 Si 1.64
O: 0.2321 0.2260 0.2414  1 Si 1.61
O: 0.2315 0.5595 0.2358  1 Si 1.60
O: 0.2453 0.8929 0.2690  1 Si 1.65
O: 0.7560 0.2304 0.2428  1 Si 1.65
O: 0.7581 0.5641 0.2385  1 Si 1.63
O: 0.7573 0.8969 0.2432  1 Si 1.67
O: 0.3519 0.2906 0.5751  1 Si 1.61
O: 0.3494 0.6230 0.5716  1 Si 1.60
O: 0.3639 0.9516 0.5844  1 Si 1.65
O: 0.6360 0.2844 0.9089  1 Si 1.68
O: 0.6447 0.6191 0.9232  1 Si 1.67
O: 0.6434 0.9510 0.9227  1 Si 1.66
O: 0.6447 0.0462 0.4266  1 Si 1.67
O: 0.6372 0.3806 0.4184  1 Si 1.64
O: 0.6428 0.7139 0.4253  1 Si 1.68
O: 0.3567 0.0485 0.0801  1 Si 1.64
O: 0.3601 0.3905 0.0887  1 Si 1.65
O: 0.3572 0.7233 0.0862  1 Si 1.64
O: 0.8494 0.1230 0.5716  1 Si 1.60
O: 0.8639 0.4516 0.5844  1 Si 1.65
O: 0.8519 0.7906 0.5751  1 Si 1.61
O: 0.1447 0.1191 0.9232  1 Si 1.67
O: 0.1434 0.4510 0.9227  1 Si 1.66
O: 0.1360 0.7844 0.9089  1 Si 1.68
O: 0.1428 0.2139 0.4253  1 Si 1.68
O: 0.1447 0.5462 0.4266  1 Si 1.67
O: 0.1372 0.8806 0.4184  1 Si 1.64
O: 0.8572 0.2233 0.0862  1 Si 1.64
O: 0.8567 0.5485 0.0801  1 Si 1.64
O: 0.8601 0.8905 0.0887  1 Si 1.65
O: 0.4621 0.2747 0.9335  1 Si 1.66
O: 0.4617 0.6085 0.9275  1 Si 1.67
O: 0.4645 0.9429 0.9366  1 Si 1.66
O: 0.5425 0.2784 0.5515  1 Si 1.59
O: 0.5462 0.6107 0.5608  1 Si 1.59
O: 0.5379 0.9422 0.5660  1 Si 1.64
O: 0.5288 0.0489 0.0688  1 Si 1.64
O: 0.5370 0.3889 0.0641  1 Si 1.64
O: 0.5293 0.7218 0.0689  1 Si 1.63
O: 0.4635 0.0567 0.4357  1 Si 1.65
O: 0.4618 0.3915 0.4402  1 Si 1.65
O: 0.4644 0.7245 0.4409  1 Si 1.66
O: 0.9617 0.1085 0.9275  1 Si 1.67
O: 0.9645 0.4429 0.9366  1 Si 1.66
O: 0.9621 0.7747 0.9335  1 Si 1.66
O: 0.0462 0.1107 0.5608  1 Si 1.59
O: 0.0379 0.4422 0.5660  1 Si 1.64
O: 0.0425 0.7784 0.5515  1 Si 1.59
O: 0.0293 0.2218 0.0689  1 Si 1.63
O: 0.0288 0.5489 0.0688  1 Si 1.64
O: 0.0370 0.8889 0.0641  1 Si 1.64
O: 0.9644 0.2245 0.4409  1 Si 1.66
O: 0.9635 0.5567 0.4357  1 Si 1.65
O: 0.9618 0.8915 0.4402  1 Si 1.65
O: 0.0818 0.2850 0.7400  1 Si 1.64
O: 0.0835 0.6167 0.7411  1 Si 1.65
O: 0.0848 0.9502 0.7437  1 Si 1.64
O: 0.9213 0.2827 0.7587  1 Si 1.63
O: 0.9294 0.6139 0.7741  1 Si 1.67
O: 0.9228 0.9483 0.7618  1 Si 1.67
O: 0.9175 0.0478 0.2413  1 Si 1.61
O: 0.9232 0.3839 0.2630  1 Si 1.64
O: 0.9164 0.7124 0.2404  1 Si 1.60
O: 0.0875 0.0474 0.2405  1 Si 1.65
O: 0.0861 0.3804 0.2454  1 Si 1.66
O: 0.0886 0.7124 0.2419  1 Si 1.65
O: 0.5835 0.1167 0.7411  1 Si 1.65
O: 0.5848 0.4502 0.7437  1 Si 1.64
O: 0.5818 0.7850 0.7400  1 Si 1.64
O: 0.4294 0.1139 0.7741  1 Si 1.67
O: 0.4228 0.4483 0.7618  1 Si 1.67
O: 0.4213 0.7827 0.7587  1 Si 1.63
O: 0.4164 0.2124 0.2404  1 Si 1.60
O: 0.4175 0.5478 0.2413  1 Si 1.61
O: 0.4232 0.8839 0.2630  1 Si 1.64
O: 0.5886 0.2124 0.2419  1 Si 1.65
O: 0.5875 0.5474 0.2405  1 Si 1.65
O: 0.5861 0.8804 0.2454  1 Si 1.66


# 2
This record from Materials Project describes a relaxed structure of Na3ZrTaSi3O12. The functional is PBE-GGA.

## Properties
- ΔE_f (eV per atom) = -3.1283
- crystal system = monoclinic

Cell lengths 9.1679, 9.1798, 22.5088 Å; angles 90.00, 90.13, 120.04 degrees
Last column: nearest neighbours and their distance in Å.
Element x y z (fractional)
Na: 0.9853 0.9686 0.4974  6 O 2.43-2.69
Na: 0.9853 0.0167 0.9974  6 O 2.43-2.69
Na: 0.6660 0.3360 0.8308  6 O 2.52-2.58
Na: 0.6660 0.3301 0.3308  6 O 2.52-2.58
Na: 0.3292 0.6635 0.1642  6 O 2.50-2.60
Na: 0.3292 0.6657 0.6642  6 O 2.50-2.60
Na: 0.3706 0.3635 0.2487  5 O 2.41-2.66
Na: 0.9904 0.6341 0.2481  4 O 2.39-2.56
Na: 0.9904 0.3563 0.7481  4 O 2.39-2.56
Na: 0.3706 0.0071 0.7487  5 O 2.41-2.66
Na: 0.3080 0.3423 0.5816  4 O 2.37-2.62
Na: 0.6611 0.9651 0.5813  6 O 2.43-2.68
Na: 0.3080 0.9657 0.0816  4 O 2.37-2.62
Na: 0.6611 0.6960 0.0813  6 O 2.43-2.68
Na: 0.9763 0.6779 0.9148  4 O 2.39-2.51
Na: 0.3263 0.2950 0.9151  5 O 2.42-2.62
Na: 0.9763 0.2984 0.4148  4 O 2.39-2.51
Na: 0.3263 0.0313 0.4151  5 O 2.42-2.62
Zr: 0.9929 0.9957 0.3539  6 O 2.00-2.19
Zr: 0.9929 0.9972 0.8539  6 O 2.00-2.19
Zr: 0.6681 0.3409 0.6875  6 O 2.00-2.19
Zr: 0.6681 0.3271 0.1875  6 O 2.00-2.19
Zr: 0.3293 0.6611 0.0209  6 O 2.01-2.17
Zr: 0.3293 0.6682 0.5209  6 O 2.01-2.17
Ta: 0.9982 0.9955 0.6456  6 O 1.95-2.08
Ta: 0.9982 0.0027 0.1456  6 O 1.95-2.08
Ta: 0.6685 0.3296 0.9787  6 O 1.93-2.08
Ta: 0.6685 0.3389 0.4787  6 O 1.93-2.08
Ta: 0.3385 0.6701 0.3122  6 O 1.94-2.09
Ta: 0.3385 0.6683 0.8122  6 O 1.94-2.09
Si: 0.2888 0.9946 0.2509  4 O 1.62-1.68
Si: 0.7034 0.7115 0.2475  4 O 1.62-1.66
Si: 0.0057 0.2962 0.2525  4 O 1.62-1.68
Si: 0.2888 0.2942 0.7509  4 O 1.62-1.68
Si: 0.0057 0.7095 0.7525  4 O 1.62-1.68
Si: 0.7034 0.9920 0.7475  4 O 1.62-1.66
Si: 0.9575 0.3283 0.5845  4 O 1.62-1.68
Si: 0.3724 0.0445 0.5844  4 O 1.62-1.68
Si: 0.6748 0.6296 0.5822  4 O 1.62-1.67
Si: 0.9575 0.6292 0.0845  4 O 1.62-1.68
Si: 0.6748 0.0452 0.0822  4 O 1.62-1.67
Si: 0.3724 0.3279 0.0844  4 O 1.62-1.68
Si: 0.6234 0.6624 0.9198  4 O 1.61-1.68
Si: 0.0375 0.3775 0.9141  4 O 1.62-1.67
Si: 0.3420 0.9627 0.9170  4 O 1.62-1.67
Si: 0.6234 0.9610 0.4198  4 O 1.61-1.68
Si: 0.3420 0.3793 0.4170  4 O 1.62-1.67
Si: 0.0375 0.6601 0.4141  4 O 1.62-1.67
O: 0.2028 0.0210 0.3100  1 Si 1.63
O: 0.8284 0.8044 0.3031  1 Si 1.62
O: 0.9876 0.1956 0.3136  1 Si 1.62
O: 0.2028 0.1818 0.8100  1 Si 1.63
O: 0.9876 0.7920 0.8136  1 Si 1.62
O: 0.8284 0.0240 0.8031  1 Si 1.62
O: 0.7976 0.9743 0.6871  1 Si 1.66
O: 0.1637 0.1959 0.6925  1 Si 1.68
O: 0.0222 0.8371 0.6963  1 Si 1.68
O: 0.7976 0.8233 0.1871  1 Si 1.66
O: 0.0222 0.1851 0.1963  1 Si 1.68
O: 0.1637 0.9678 0.1925  1 Si 1.68
O: 0.8696 0.3456 0.6444  1 Si 1.62
O: 0.4839 0.1312 0.6436  1 Si 1.62
O: 0.6409 0.5087 0.6389  1 Si 1.62
O: 0.8696 0.5240 0.1444  1 Si 1.62
O: 0.6409 0.1322 0.1389  1 Si 1.62
O: 0.4839 0.3527 0.1436  1 Si 1.62
O: 0.4729 0.3047 0.0262  1 Si 1.68
O: 0.8353 0.5277 0.0259  1 Si 1.68
O: 0.6926 0.1640 0.0236  1 Si 1.67
O: 0.4729 0.1682 0.5262  1 Si 1.68
O: 0.6926 0.5286 0.5236  1 Si 1.67
O: 0.8353 0.3076 0.5259  1 Si 1.68
O: 0.5426 0.6827 0.9807  1 Si 1.61
O: 0.1593 0.4721 0.9703  1 Si 1.62
O: 0.3150 0.8501 0.9757  1 Si 1.62
O: 0.5426 0.8599 0.4807  1 Si 1.61
O: 0.3150 0.4650 0.4757  1 Si 1.62
O: 0.1593 0.6872 0.4703  1 Si 1.62
O: 0.1303 0.6338 0.3545  1 Si 1.67
O: 0.4948 0.8530 0.3632  1 Si 1.68
O: 0.3555 0.4949 0.3578  1 Si 1.67
O: 0.1303 0.4965 0.8545  1 Si 1.67
O: 0.3555 0.8606 0.8578  1 Si 1.67
O: 0.4948 0.6418 0.8632  1 Si 1.68
O: 0.0195 0.8271 0.4118  1 Si 1.62
O: 0.8159 0.9982 0.4142  1 Si 1.63
O: 0.1784 0.1887 0.4136  1 Si 1.64
O: 0.0195 0.1924 0.9118  1 Si 1.62
O: 0.1784 0.9897 0.9136  1 Si 1.64
O: 0.8159 0.8177 0.9142  1 Si 1.63
O: 0.9644 0.1502 0.5866  1 Si 1.67
O: 0.1896 0.0394 0.5890  1 Si 1.66
O: 0.8467 0.8149 0.5877  1 Si 1.65
O: 0.9644 0.8142 0.0866  1 Si 1.67
O: 0.8467 0.0318 0.0877  1 Si 1.65
O: 0.1896 0.1502 0.0890  1 Si 1.66
O: 0.6756 0.1544 0.7461  1 Si 1.63
O: 0.4731 0.3106 0.7464  1 Si 1.62
O: 0.8509 0.5169 0.7475  1 Si 1.63
O: 0.6756 0.5211 0.2461  1 Si 1.63
O: 0.8509 0.3340 0.2475  1 Si 1.63
O: 0.4731 0.1625 0.2464  1 Si 1.62
O: 0.6281 0.4835 0.9211  1 Si 1.66
O: 0.8568 0.3749 0.9210  1 Si 1.65
O: 0.5117 0.1517 0.9206  1 Si 1.65
O: 0.6281 0.1445 0.4211  1 Si 1.66
O: 0.5117 0.3600 0.4206  1 Si 1.65
O: 0.8568 0.4819 0.4210  1 Si 1.65
O: 0.3534 0.4940 0.0802  1 Si 1.62
O: 0.1510 0.6673 0.0808  1 Si 1.63
O: 0.5115 0.8562 0.0790  1 Si 1.63
O: 0.3534 0.8594 0.5802  1 Si 1.62
O: 0.5115 0.6553 0.5790  1 Si 1.63
O: 0.1510 0.4836 0.5808  1 Si 1.63
O: 0.2956 0.8184 0.2554  1 Si 1.65
O: 0.5176 0.6968 0.2550  1 Si 1.65
O: 0.1855 0.4792 0.2525  1 Si 1.66
O: 0.2956 0.4772 0.7554  1 Si 1.65
O: 0.1855 0.7063 0.7525  1 Si 1.66
O: 0.5176 0.8207 0.7550  1 Si 1.65


> Among the records above, which one has the highest ΔE_f?

Na9Ta5ZnSi9O36